A plane-wave DFT calculation with PBE was carried out for an optimized crystal structure of ErClO.

## Properties
The calculation puts the volume at 71.7 Å³/f.u. Its total energy is -41.306 eV/cell. The calculation puts the formation energy at -3.33 eV per atom.

a = 3.7392 Å, b = 4.1505 Å, c = 9.2383 Å
α = 90.00°, β = 90.00°, γ = 90.00°
Last column: nearest neighbours and their distance in Å.
Atoms (fractional coordinates):
Er: 0.5000 0.0000 0.1133  4 O 2.22-2.28
Er: 0.0000 0.5000 0.8867  4 O 2.22-2.28
Cl: 0.0000 0.0000 0.3181  2 Er 2.66
Cl: 0.5000 0.5000 0.6819  2 Er 2.66
O: 0.0000 0.0000 0.9715  4 Er 2.22-2.28
O: 0.5000 0.5000 0.0285  4 Er 2.22-2.28

A plane-wave DFT calculation with PBE was carried out for an optimized crystal structure of Eu2Al5Ag5.

## Properties
The calculation puts the volume at 246.0 Å³/f.u. Its total energy is -57.011 eV/cell. The calculation puts the formation energy at -0.30 eV per atom.

a = 4.5176 Å, b = 5.5327 Å, c = 9.8433 Å
α = 90.00°, β = 90.00°, γ = 90.00°
Last column: nearest neighbours and their distance in Å.
Atoms (fractional coordinates):
Eu: 0.0000 0.5000 0.0000  6 Ag 3.20-3.22, 4 Al 3.57
Eu: 0.0000 0.0000 0.5000  10 Ag 3.26-3.57, 8 Al 3.61
Al: 0.5000 0.0000 0.0000  4 Ag 2.79, 4 Al 2.83
Al: 0.5000 0.7496 0.2508  5 Ag 2.75-2.81, 3 Al 2.76-2.83
Al: 0.5000 0.2504 0.7492  5 Ag 2.75-2.81, 3 Al 2.76-2.83
Al: 0.5000 0.2504 0.2508  5 Ag 2.75-2.81, 3 Al 2.76-2.83
Al: 0.5000 0.7496 0.7492  5 Ag 2.75-2.81, 3 Al 2.76-2.83
Ag: 0.0000 0.5000 0.3247  4 Al 2.75, 2 Ag 2.84
Ag: 0.0000 0.0000 0.8330  6 Al 2.78-2.79
Ag: 0.0000 0.0000 0.1670  6 Al 2.78-2.79
Ag: 0.0000 0.5000 0.6753  4 Al 2.75, 2 Ag 2.84
Ag: 0.5000 0.5000 0.5000  4 Al 2.81, 4 Ag 2.84

A plane-wave DFT calculation with PBE was carried out for an optimized crystal structure of HfAsRu.

## Properties
The calculation puts the volume at 49.3 Å³/f.u. Its total energy is -78.773 eV/cell. The calculation puts the formation energy at -0.79 eV per atom.

a = 6.6022 Å, b = 6.6022 Å, c = 3.9201 Å
α = 90.00°, β = 90.00°, γ = 120.00°
Last column: nearest neighbours and their distance in Å.
Atoms (fractional coordinates):
Hf: 0.4177 0.4177 0.5000  5 As 2.76-2.79, 2 Ru 2.96
Hf: 0.5823 0.0000 0.5000  5 As 2.76-2.79, 2 Ru 2.96
Hf: 0.0000 0.5823 0.5000  5 As 2.76-2.79, 2 Ru 2.96
As: 0.6667 0.3333 0.0000  3 Ru 2.54, 6 Hf 2.79
As: 0.3333 0.6667 0.0000  3 Ru 2.54, 6 Hf 2.79
As: 0.0000 0.0000 0.5000  6 Ru 2.55, 3 Hf 2.76
Ru: 0.7540 0.7540 0.0000  4 As 2.54-2.55, 2 Ru 2.81
Ru: 0.2460 0.0000 0.0000  4 As 2.54-2.55, 2 Ru 2.81
Ru: 0.0000 0.2460 0.0000  4 As 2.54-2.55, 2 Ru 2.81